Compound: YGeAu
Source: the Materials Project
Functional: meta-GGA r2SCAN
Structure: optimized geometry

Results
DFT formation energy in kJ/mol of atoms: -89.7
Magnetization in μB per formula unit: 0.0

a = 4.419 Å, b = 4.419 Å, c = 7.421 Å
α = 90.00°, β = 90.00°, γ = 120.00°
Atoms (fractional coordinates):
Y: 0.000 0.000 0.534
Y: 0.000 0.000 0.034
Ge: 0.667 0.333 0.325
Ge: 0.333 0.667 0.825
Au: 0.333 0.667 0.250
Au: 0.667 0.333 0.750